A relaxed NbP crystal. Source: the Materials Project database, functional PBE.

The value obtained for the spin magnetization is 0.00 μB/cell. The calculation puts the calculated formation energy at -0.3877 eV/atom.

It has space group I4_1/amd (No. 141, origin choice 2), with a = 3.517 Å, b = 3.517 Å, c = 10.477 Å, α = 90.00°, β = 90.00° and γ = 90.00°. The distinct sites, in fractional coordinates, are Nb at (0.000, 0.250, 0.375) and P at (0.000, 0.250, 0.875).